# 1
This record from the Materials Project describes a relaxed CaLaFeBiO6 crystal. The functional is PBE with a Hubbard U.

```
data_CaLaFeBiO6
_chemical_formula_sum 'Ca2 La2 Fe2 Bi2 O12'
_cell_length_a 5.694
_cell_length_b 5.901
_cell_length_c 9.934
_cell_angle_alpha 90.00
_cell_angle_beta 124.20
_cell_angle_gamma 90.00
_symmetry_space_group_name_H-M 'P 1'
_symmetry_Int_Tables_number 1
_symmetry_space_group_name_Hall 'P 1'
loop_
_atom_site_label
_atom_site_type_symbol
_atom_site_fract_x
_atom_site_fract_y
_atom_site_fract_z
Ca1 Ca 0.000 0.194 0.000
Ca2 Ca 0.000 0.806 0.500
La1 La 0.539 0.304 0.502
La2 La 0.539 0.696 0.002
Fe1 Fe 0.772 0.248 0.251
Fe2 Fe 0.772 0.752 0.751
Bi1 Bi 0.273 0.247 0.753
Bi2 Bi 0.273 0.753 0.253
O1 O 0.120 0.202 0.487
O2 O 0.120 0.798 0.987
O3 O 0.419 0.293 0.015
O4 O 0.419 0.707 0.515
O5 O 0.548 0.058 0.311
O6 O 0.548 0.942 0.811
O7 O 0.648 0.464 0.813
O8 O 0.648 0.536 0.313
O9 O 0.896 0.034 0.688
O10 O 0.896 0.966 0.188
O11 O 0.999 0.441 0.192
O12 O 0.999 0.559 0.692
```

Results
* final energy: -6.762 eV per atom
* energy of formation: -2501 meV per atom
* polymorph energy (0 for the lowest one): 0.0 meV per atom
* SG: No. 7



# 2
This record from the Materials Project describes a relaxed Li4Cr3FeO8 crystal. The functional is PBE with a Hubbard U.

```
data_Li4Cr3FeO8
_chemical_formula_sum 'Li4 Cr3 Fe1 O8'
_cell_length_a 5.110
_cell_length_b 5.173
_cell_length_c 5.944
_cell_angle_alpha 73.30
_cell_angle_beta 90.00
_cell_angle_gamma 80.59
_symmetry_space_group_name_H-M 'P 1'
_symmetry_Int_Tables_number 1
_symmetry_space_group_name_Hall 'P 1'
loop_
_atom_site_label
_atom_site_type_symbol
_atom_site_fract_x
_atom_site_fract_y
_atom_site_fract_z
Li1 Li 0.249 0.000 0.375
Li2 Li 0.250 0.000 0.875
Li3 Li 0.750 0.000 0.125
Li4 Li 0.751 0.000 0.625
Cr1 Cr 0.000 0.500 0.000
Cr2 Cr 0.500 0.500 0.249
Cr3 Cr 0.500 0.500 0.751
Fe1 Fe 0.000 0.500 0.500
O1 O 0.129 0.728 0.192
O2 O 0.129 0.728 0.694
O3 O 0.371 0.274 0.056
O4 O 0.375 0.273 0.557
O5 O 0.625 0.727 0.443
O6 O 0.629 0.726 0.944
O7 O 0.871 0.272 0.306
O8 O 0.871 0.272 0.808
```

Results
* final energy: -6.724 eV per atom
* energy of formation: -2293 meV per atom
* polymorph energy (0 for the lowest one): 0.1 meV per atom
* SG: No. 2



# 3
This record from the Materials Project describes a relaxed NdMnO3 crystal. The functional is PBE with a Hubbard U.

```
data_NdMnO3
_chemical_formula_sum 'Nd4 Mn4 O12'
_cell_length_a 7.900
_cell_length_b 5.500
_cell_length_c 5.658
_cell_angle_alpha 90.00
_cell_angle_beta 90.57
_cell_angle_gamma 90.00
_symmetry_space_group_name_H-M 'P 1'
_symmetry_Int_Tables_number 1
_symmetry_space_group_name_Hall 'P 1'
loop_
_atom_site_label
_atom_site_type_symbol
_atom_site_fract_x
_atom_site_fract_y
_atom_site_fract_z
Nd1 Nd 0.248 0.016 0.447
Nd2 Nd 0.248 0.484 0.947
Nd3 Nd 0.752 0.516 0.053
Nd4 Nd 0.752 0.984 0.553
Mn1 Mn 0.000 0.000 0.000
Mn2 Mn 0.000 0.500 0.500
Mn3 Mn 0.500 0.000 0.000
Mn4 Mn 0.500 0.500 0.500
O1 O 0.053 0.213 0.705
O2 O 0.053 0.287 0.205
O3 O 0.240 0.594 0.527
O4 O 0.240 0.906 0.027
O5 O 0.451 0.212 0.710
O6 O 0.451 0.288 0.210
O7 O 0.549 0.712 0.790
O8 O 0.549 0.788 0.290
O9 O 0.760 0.094 0.973
O10 O 0.760 0.406 0.473
O11 O 0.947 0.713 0.795
O12 O 0.947 0.787 0.295
```

Results
* final energy: -7.961 eV per atom
* energy of formation: -2952 meV per atom
* SG: No. 14



# 4
This record from the Materials Project describes a relaxed BaFe2P2O7F2 crystal. The functional is PBE with a Hubbard U.

```
data_BaFe2P2O7F2
_chemical_formula_sum 'Ba2 Fe4 P4 O14 F4'
_cell_length_a 6.930
_cell_length_b 12.047
_cell_length_c 4.669
_cell_angle_alpha 90.00
_cell_angle_beta 90.00
_cell_angle_gamma 90.00
_symmetry_space_group_name_H-M 'P 1'
_symmetry_Int_Tables_number 1
_symmetry_space_group_name_Hall 'P 1'
loop_
_atom_site_label
_atom_site_type_symbol
_atom_site_fract_x
_atom_site_fract_y
_atom_site_fract_z
Ba1 Ba 0.250 0.250 0.108
Ba2 Ba 0.750 0.750 0.892
Fe1 Fe 0.000 0.000 0.500
Fe2 Fe 0.000 0.500 0.500
Fe3 Fe 0.500 0.000 0.500
Fe4 Fe 0.500 0.500 0.500
P1 P 0.250 0.626 0.987
P2 P 0.250 0.874 0.987
P3 P 0.750 0.126 0.013
P4 P 0.750 0.374 0.013
O1 O 0.065 0.616 0.810
O2 O 0.065 0.884 0.810
O3 O 0.250 0.550 0.249
O4 O 0.250 0.750 0.126
O5 O 0.250 0.950 0.249
O6 O 0.435 0.616 0.810
O7 O 0.435 0.884 0.810
O8 O 0.565 0.116 0.190
O9 O 0.565 0.384 0.190
O10 O 0.750 0.050 0.751
O11 O 0.750 0.250 0.874
O12 O 0.750 0.450 0.751
O13 O 0.935 0.116 0.190
O14 O 0.935 0.384 0.190
F1 F 0.250 0.114 0.628
F2 F 0.250 0.386 0.628
F3 F 0.750 0.614 0.372
F4 F 0.750 0.886 0.372
```

Results
* final energy: -6.926 eV per atom
* energy of formation: -2790 meV per atom
* SG: No. 59



# 5
This record from the Materials Project describes a relaxed Li2MnVP3O12 crystal. The functional is PBE with a Hubbard U.

```
data_Li2MnVP3O12
_chemical_formula_sum 'Li4 Mn2 V2 P6 O24'
_cell_length_a 8.321
_cell_length_b 8.323
_cell_length_c 8.842
_cell_angle_alpha 116.22
_cell_angle_beta 90.15
_cell_angle_gamma 118.85
_symmetry_space_group_name_H-M 'P 1'
_symmetry_Int_Tables_number 1
_symmetry_space_group_name_Hall 'P 1'
loop_
_atom_site_label
_atom_site_type_symbol
_atom_site_fract_x
_atom_site_fract_y
_atom_site_fract_z
Li1 Li 0.000 0.000 0.000
Li2 Li 0.040 0.538 0.485
Li3 Li 0.571 0.301 0.984
Li4 Li 0.614 0.756 0.262
Mn1 Mn 0.157 0.080 0.691
Mn2 Mn 0.450 0.658 0.560
V1 V 0.648 0.059 0.169
V2 V 0.964 0.675 0.080
P1 P 0.042 0.146 0.368
P2 P 0.267 0.866 0.872
P3 P 0.339 0.876 0.382
P4 P 0.563 0.588 0.881
P5 P 0.759 0.566 0.372
P6 P 0.838 0.156 0.870
O1 O 0.040 0.208 0.856
O2 O 0.077 0.990 0.212
O3 O 0.086 0.152 0.539
O4 O 0.136 0.711 0.246
O5 O 0.139 0.718 0.938
O6 O 0.154 0.366 0.390
O7 O 0.182 0.992 0.862
O8 O 0.275 0.729 0.690
O9 O 0.325 0.010 0.559
O10 O 0.415 0.742 0.388
O11 O 0.444 0.375 0.872
O12 O 0.471 0.040 0.003
O13 O 0.473 0.015 0.310
O14 O 0.517 0.576 0.709
O15 O 0.533 0.751 0.035
O16 O 0.561 0.519 0.395
O17 O 0.681 0.979 0.704
O18 O 0.767 0.615 0.217
O19 O 0.769 0.364 0.310
O20 O 0.783 0.670 0.933
O21 O 0.816 0.091 0.018
O22 O 0.821 0.055 0.317
O23 O 0.830 0.359 0.944
O24 O 0.928 0.738 0.532
```

Results
* final energy: -7.120 eV per atom
* energy of formation: -2590 meV per atom
* polymorph energy (0 for the lowest one): 9.5 meV per atom
* SG: No. 1



# 6
This record from the Materials Project describes a relaxed Mn2BO4 crystal. The functional is PBE with a Hubbard U.

```
data_Mn2BO4
_chemical_formula_sum 'Mn8 B4 O16'
_cell_length_a 3.317
_cell_length_b 9.632
_cell_length_c 9.957
_cell_angle_alpha 90.00
_cell_angle_beta 108.76
_cell_angle_gamma 90.00
_symmetry_space_group_name_H-M 'P 1'
_symmetry_Int_Tables_number 1
_symmetry_space_group_name_Hall 'P 1'
loop_
_atom_site_label
_atom_site_type_symbol
_atom_site_fract_x
_atom_site_fract_y
_atom_site_fract_z
Mn1 Mn 0.093 0.098 0.320
Mn2 Mn 0.093 0.402 0.820
Mn3 Mn 0.291 0.618 0.563
Mn4 Mn 0.291 0.882 0.063
Mn5 Mn 0.709 0.118 0.937
Mn6 Mn 0.709 0.382 0.437
Mn7 Mn 0.907 0.598 0.180
Mn8 Mn 0.907 0.902 0.680
B1 B 0.432 0.169 0.632
B2 B 0.432 0.331 0.132
B3 B 0.568 0.669 0.868
B4 B 0.568 0.831 0.368
O1 O 0.105 0.511 0.388
O2 O 0.105 0.989 0.888
O3 O 0.351 0.241 0.504
O4 O 0.351 0.259 0.004
O5 O 0.361 0.030 0.631
O6 O 0.361 0.470 0.131
O7 O 0.420 0.741 0.738
O8 O 0.420 0.759 0.238
O9 O 0.580 0.241 0.762
O10 O 0.580 0.259 0.262
O11 O 0.639 0.530 0.869
O12 O 0.639 0.970 0.369
O13 O 0.649 0.741 0.996
O14 O 0.649 0.759 0.496
O15 O 0.895 0.011 0.112
O16 O 0.895 0.489 0.612
```

Results
* final energy: -7.889 eV per atom
* energy of formation: -2359 meV per atom
* SG: No. 14